# 1
Below is a relaxed structure of DyAl, with properties calculated at the r2SCAN level.

The structure in extended XYZ format:
```
2
Lattice="3.584 0.000 0.000 0.000 3.584 0.000 0.000 0.000 3.584" Properties=species:S:1:pos:R:3 pbc="T T T"
Dy 0.000 0.000 0.000
Al 1.792 1.792 1.792
```

## Properties
As for the total energy: -19.8011 eV per atom. As for the formation energy: -0.444 eV/atom.

# 2
Below is a relaxed structure of SnIr2Se5, with properties calculated at the r2SCAN level.

The structure in extended XYZ format:
```
16
Lattice="7.727 0.000 0.000 0.000 3.778 0.000 -2.656 0.000 12.646" Properties=species:S:1:pos:R:3 pbc="T T T"
Sn 0.391 0.000 4.219
Sn 4.681 0.000 8.427
Ir 1.539 0.000 1.845
Ir -0.290 1.889 10.772
Ir 5.362 1.889 1.874
Ir 3.532 0.000 10.801
Se 0.062 1.889 1.304
Se -0.472 0.000 9.094
Se 0.645 1.889 5.884
Se 0.004 0.000 12.308
Se 2.986 1.889 2.733
Se 2.086 1.889 9.913
Se 5.067 0.000 0.338
Se 4.427 1.889 6.762
Se 5.543 0.000 3.552
Se 5.010 1.889 11.341
```

## Properties
As for the total energy: -25.5996 eV per atom. As for the formation energy: -0.472 eV/atom.

So what do the calculations give for total magnetization? Going down the list: 0.000; 0.000 μB per atom.